# DyMnB4

An optimized crystal structure of DyMnB4 (GGA-PBE, the Materials Project database).

Cell lengths 5.9058, 11.4253, 3.4081 Å; angles 90.00, 90.00, 90.00 degrees
Space group Pbam (No. 55)
Unique sites:
Dy 0.1266 0.1506 0.0000 x4
Mn 0.1282 0.4163 0.0000 x4
B 0.0241 0.6907 0.5000 x4
B 0.1118 0.5460 0.5000 x4
B 0.1379 0.9678 0.5000 x4
B 0.2182 0.8162 0.5000 x4

Properties
* ΔE_f: -0.656 eV per atom
* crystal system: orthorhombic